VASP calculation (meta-GGA r2SCAN) on crystalline Cs2ZnO2 at its relaxed geometry.

Summary:
**VASP energy**: -78.2 eV/f.u.

Lattice parameters (Å, degrees): 6.641 9.875 16.412 62.75 90.00 90.00
Fractional coordinates of all 40 atoms:
Cs  0.175  0.144  0.523
Cs  0.139  0.926  0.838
Cs  0.077  0.572  0.379
Cs  0.577  0.428  0.121
Cs  0.361  0.926  0.338
Cs  0.825  0.856  0.477
Cs  0.325  0.144  0.023
Cs  0.639  0.074  0.662
Cs  0.910  0.678  0.741
Cs  0.923  0.428  0.621
Cs  0.410  0.322  0.759
Cs  0.861  0.074  0.162
Cs  0.423  0.572  0.879
Cs  0.675  0.856  0.977
Cs  0.090  0.322  0.259
Cs  0.590  0.678  0.241
Zn  0.134  0.754  0.128
Zn  0.866  0.246  0.872
Zn  0.445  0.586  0.540
Zn  0.634  0.246  0.372
Zn  0.945  0.414  0.960
Zn  0.555  0.414  0.460
Zn  0.055  0.586  0.040
Zn  0.366  0.754  0.628
O  0.693  0.144  0.305
O  0.881  0.630  0.931
O  0.723  0.271  0.968
O  0.913  0.619  0.139
O  0.277  0.729  0.032
O  0.193  0.856  0.195
O  0.807  0.144  0.805
O  0.223  0.729  0.532
O  0.307  0.856  0.695
O  0.619  0.630  0.431
O  0.381  0.370  0.569
O  0.587  0.619  0.639
O  0.777  0.271  0.468
O  0.119  0.370  0.069
O  0.087  0.381  0.861
O  0.413  0.381  0.361